Arrangement P

# SiC PBE-GGA optimized geometry
# - Magnetization: 0.00 μB/f.u.
data_SiC
_cell_length_a 3.0981
_cell_length_b 3.0981
_cell_length_c 83.3340
_cell_angle_alpha 90.00
_cell_angle_beta 90.00
_cell_angle_gamma 120.00
_symmetry_space_group_name_H-M 'R 3 m'
_symmetry_Int_Tables_number 160
_symmetry_space_group_name_Hall 'R 3 -2"'
loop_
_atom_site_label
_atom_site_type_symbol
_atom_site_fract_x
_atom_site_fract_y
_atom_site_fract_z
Si1 Si 0.0000 0.0000 0.0000
Si2 Si 0.0000 0.0000 0.0606
Si3 Si 0.0000 0.0000 0.1212
Si4 Si 0.0000 0.0000 0.2424
Si5 Si 0.0000 0.0000 0.3031
Si6 Si 0.0000 0.0000 0.4243
Si7 Si 0.0000 0.0000 0.5152
Si8 Si 0.0000 0.0000 0.6061
Si9 Si 0.0000 0.0000 0.6970
Si10 Si 0.0000 0.0000 0.8182
Si11 Si 0.0000 0.0000 0.8788
C1 C 0.0000 0.0000 0.0228
C2 C 0.0000 0.0000 0.0834
C3 C 0.0000 0.0000 0.1440
C4 C 0.0000 0.0000 0.2652
C5 C 0.0000 0.0000 0.3258
C6 C 0.0000 0.0000 0.4471
C7 C 0.0000 0.0000 0.5380
C8 C 0.0000 0.0000 0.6289
C9 C 0.0000 0.0000 0.7198
C10 C 0.0000 0.0000 0.8410
C11 C 0.0000 0.0000 0.9016

=====

Arrangement Q

# SiC PBE-GGA optimized geometry
# - Magnetization: 0.00 μB/f.u.
data_SiC
_cell_length_a 4.0502
_cell_length_b 4.0502
_cell_length_c 4.0502
_cell_angle_alpha 90.00
_cell_angle_beta 90.00
_cell_angle_gamma 90.00
_symmetry_space_group_name_H-M 'F m -3 m'
_symmetry_Int_Tables_number 225
_symmetry_space_group_name_Hall '-F 4 2 3'
loop_
_atom_site_label
_atom_site_type_symbol
_atom_site_fract_x
_atom_site_fract_y
_atom_site_fract_z
Si1 Si 0.0000 0.0000 0.0000
C1 C 0.0000 0.0000 0.5000

=====

Arrangement R

SiC: optimized geometry, PBE-GGA.

CIF file:
```
data_SiC
_cell_length_a 3.0940
_cell_length_b 3.0940
_cell_length_c 45.5545
_cell_angle_alpha 90.00
_cell_angle_beta 90.00
_cell_angle_gamma 120.00
_symmetry_space_group_name_H-M 'P 3 m 1'
_symmetry_Int_Tables_number 156
loop_
_symmetry_equiv_pos_as_xyz
'x,y,z'
'-y,x-y,z'
'-x+y,-x,z'
'-y,-x,z'
'-x+y,y,z'
'x,x-y,z'
loop_
_atom_site_label
_atom_site_type_symbol
_atom_site_fract_x
_atom_site_fract_y
_atom_site_fract_z
Si1 Si 0.0000 0.0000 0.0000
Si2 Si 0.0000 0.0000 0.1111
Si3 Si 0.0000 0.0000 0.2223
Si4 Si 0.0000 0.0000 0.3334
Si5 Si 0.0000 0.0000 0.4445
Si6 Si 0.0000 0.0000 0.5556
Si7 Si 0.0000 0.0000 0.6667
Si8 Si 0.0000 0.0000 0.7778
Si9 Si 0.3333 0.6667 0.1667
Si10 Si 0.3333 0.6667 0.3889
Si11 Si 0.3333 0.6667 0.6112
Si12 Si 0.3333 0.6667 0.8333
Si13 Si 0.3333 0.6667 0.9445
Si14 Si 0.6667 0.3333 0.0556
Si15 Si 0.6667 0.3333 0.2778
Si16 Si 0.6667 0.3333 0.5000
Si17 Si 0.6667 0.3333 0.7223
Si18 Si 0.6667 0.3333 0.8889
C1 C 0.0000 0.0000 0.0417
C2 C 0.0000 0.0000 0.1528
C3 C 0.0000 0.0000 0.2639
C4 C 0.0000 0.0000 0.3750
C5 C 0.0000 0.0000 0.4861
C6 C 0.0000 0.0000 0.5972
C7 C 0.0000 0.0000 0.7083
C8 C 0.0000 0.0000 0.8195
C9 C 0.3333 0.6667 0.2085
C10 C 0.3333 0.6667 0.4307
C11 C 0.3333 0.6667 0.6529
C12 C 0.3333 0.6667 0.8750
C13 C 0.3333 0.6667 0.9862
C14 C 0.6667 0.3333 0.0974
C15 C 0.6667 0.3333 0.3196
C16 C 0.6667 0.3333 0.5418
C17 C 0.6667 0.3333 0.7640
C18 C 0.6667 0.3333 0.9307
```

=====

Energetically preferred structure: arrangement R | next structure: +3.0 kJ/mol of atoms

=====

Arrangement P

# MgAg20Bi4O16 PBE-GGA optimized geometry
# - Magnetization: 0.00 μB/f.u.
data_MgAg20Bi4O16
_cell_length_a 6.0600
_cell_length_b 8.7822
_cell_length_c 13.0116
_cell_angle_alpha 87.66
_cell_angle_beta 87.02
_cell_angle_gamma 89.95
_symmetry_space_group_name_H-M 'P 1'
_symmetry_Int_Tables_number 1
loop_
_symmetry_equiv_pos_as_xyz
'x,y,z'
loop_
_atom_site_label
_atom_site_type_symbol
_atom_site_fract_x
_atom_site_fract_y
_atom_site_fract_z
Mg1 Mg 0.0000 0.0000 0.0000
Ag1 Ag 0.1501 0.6077 0.9689
Ag2 Ag 0.1597 0.0641 0.7074
Ag3 Ag 0.2025 0.5843 0.4648
Ag4 Ag 0.2385 0.1552 0.2042
Ag5 Ag 0.3960 0.8321 0.8365
Ag6 Ag 0.4007 0.8409 0.5793
Ag7 Ag 0.4092 0.2175 0.4867
Ag8 Ag 0.4424 0.8600 0.3347
Ag9 Ag 0.4557 0.8406 0.1031
Ag10 Ag 0.4637 0.4393 0.2082
Ag11 Ag 0.6524 0.0743 0.7017
Ag12 Ag 0.6641 0.6104 0.9732
Ag13 Ag 0.6725 0.1570 0.2405
Ag14 Ag 0.6944 0.5800 0.4665
Ag15 Ag 0.8696 0.3706 0.1013
Ag16 Ag 0.8739 0.8362 0.8314
Ag17 Ag 0.9391 0.6813 0.6547
Ag18 Ag 0.9416 0.2894 0.8407
Ag19 Ag 0.9607 0.3399 0.5981
Ag20 Ag 0.9819 0.3648 0.3380
Bi1 Bi 0.4403 0.4585 0.7251
Bi2 Bi 0.4550 0.1982 0.9595
Bi3 Bi 0.9169 0.9803 0.4483
Bi4 Bi 0.9574 0.7429 0.2173
O1 O 0.0791 0.4688 0.7268
O2 O 0.0894 0.5110 0.2106
O3 O 0.1062 0.2078 0.0288
O4 O 0.2787 0.9895 0.4553
O5 O 0.3224 0.9550 0.9715
O6 O 0.3870 0.1980 0.7894
O7 O 0.4206 0.4745 0.9052
O8 O 0.4379 0.4484 0.5439
O9 O 0.5088 0.7073 0.7081
O10 O 0.5977 0.7058 0.2268
O11 O 0.7857 0.0708 0.8990
O12 O 0.8584 0.2263 0.4669
O13 O 0.9067 0.7714 0.0299
O14 O 0.9181 0.9365 0.6294
O15 O 0.9528 0.7156 0.3937
O16 O 0.9600 0.0081 0.2735

=====

Arrangement Q

# MgAg20Bi4O16 PBE-GGA optimized geometry
# - Magnetization: 0.08 μB/f.u.
data_MgAg20Bi4O16
_cell_length_a 6.0496
_cell_length_b 9.0578
_cell_length_c 13.1070
_cell_angle_alpha 90.73
_cell_angle_beta 91.40
_cell_angle_gamma 93.20
_symmetry_space_group_name_H-M 'P 1'
_symmetry_Int_Tables_number 1
loop_
_symmetry_equiv_pos_as_xyz
'x,y,z'
loop_
_atom_site_label
_atom_site_type_symbol
_atom_site_fract_x
_atom_site_fract_y
_atom_site_fract_z
Mg1 Mg 0.0000 0.0000 0.0000
Ag1 Ag 0.0368 0.5283 0.4278
Ag2 Ag 0.0996 0.9964 0.6970
Ag3 Ag 0.1007 0.5148 0.9176
Ag4 Ag 0.2473 0.2845 0.3130
Ag5 Ag 0.2693 0.9105 0.3956
Ag6 Ag 0.2902 0.2710 0.5565
Ag7 Ag 0.3008 0.2810 0.0553
Ag8 Ag 0.3272 0.2595 0.8060
Ag9 Ag 0.3382 0.6277 0.7190
Ag10 Ag 0.4734 0.0477 0.1970
Ag11 Ag 0.5307 0.5307 0.4283
Ag12 Ag 0.5710 0.5234 0.9134
Ag13 Ag 0.5996 0.9930 0.7007
Ag14 Ag 0.7341 0.2323 0.9461
Ag15 Ag 0.8064 0.3951 0.2291
Ag16 Ag 0.8104 0.7655 0.5567
Ag17 Ag 0.8137 0.7567 0.3063
Ag18 Ag 0.8533 0.7142 0.0322
Ag19 Ag 0.8564 0.7720 0.8272
Ag20 Ag 0.9947 0.0333 0.2164
Bi1 Bi 0.3014 0.6527 0.1849
Bi2 Bi 0.4447 0.8921 0.9452
Bi3 Bi 0.7667 0.1291 0.4526
Bi4 Bi 0.8201 0.4019 0.6696
O1 O 0.1286 0.1325 0.4359
O2 O 0.2057 0.9177 0.1083
O3 O 0.2362 0.1173 0.9323
O4 O 0.2896 0.6667 0.3609
O5 O 0.3429 0.8636 0.7681
O6 O 0.3477 0.6439 0.0057
O7 O 0.3658 0.4191 0.1877
O8 O 0.4544 0.4020 0.6799
O9 O 0.6979 0.0434 0.0361
O10 O 0.7022 0.8869 0.4300
O11 O 0.7428 0.1678 0.2816
O12 O 0.7756 0.3969 0.4927
O13 O 0.8255 0.3976 0.8437
O14 O 0.8492 0.1257 0.6321
O15 O 0.9139 0.6393 0.6801
O16 O 0.9397 0.6176 0.1844

=====

Energetically preferred structure: arrangement P | next structure: +2.5 kJ/mol of atoms

=====

Arrangement P

# BaMg14CdO16 PBE-GGA optimized geometry
# - Magnetization: 0.00 μB/f.u.
data_BaMg14CdO16
_cell_length_a 4.5567
_cell_length_b 8.7954
_cell_length_c 8.8835
_cell_angle_alpha 90.00
_cell_angle_beta 90.00
_cell_angle_gamma 90.00
_symmetry_space_group_name_H-M 'P m m m'
_symmetry_Int_Tables_number 47
loop_
_symmetry_equiv_pos_as_xyz
'x,y,z'
'-x,-y,-z'
'-x,-y,z'
'x,y,-z'
'x,-y,-z'
'-x,y,z'
'-x,y,-z'
'x,-y,z'
loop_
_atom_site_label
_atom_site_type_symbol
_atom_site_fract_x
_atom_site_fract_y
_atom_site_fract_z
Ba1 Ba 0.0000 0.0000 0.0000
Mg1 Mg 0.0000 0.2626 0.2571
Mg2 Mg 0.0000 0.5000 0.0000
Mg3 Mg 0.0000 0.5000 0.5000
Mg4 Mg 0.5000 0.0000 0.2613
Mg5 Mg 0.5000 0.2570 0.5000
Mg6 Mg 0.5000 0.2647 0.0000
Mg7 Mg 0.5000 0.5000 0.2521
Cd1 Cd 0.0000 0.0000 0.5000
O1 O 0.0000 0.0000 0.2673
O2 O 0.0000 0.2713 0.5000
O3 O 0.0000 0.2814 0.0000
O4 O 0.0000 0.5000 0.2543
O5 O 0.5000 0.0000 0.0000
O6 O 0.5000 0.0000 0.5000
O7 O 0.5000 0.2509 0.2511
O8 O 0.5000 0.5000 0.0000
O9 O 0.5000 0.5000 0.5000

=====

Arrangement Q

# BaMg14CdO16 PBE-GGA optimized geometry
# - Magnetization: 0.00 μB/f.u.
data_BaMg14CdO16
_cell_length_a 8.7998
_cell_length_b 8.7998
_cell_length_c 4.5433
_cell_angle_alpha 90.00
_cell_angle_beta 90.00
_cell_angle_gamma 90.00
_symmetry_space_group_name_H-M 'P 4/m m m'
_symmetry_Int_Tables_number 123
_symmetry_space_group_name_Hall '-P 4 2'
loop_
_atom_site_label
_atom_site_type_symbol
_atom_site_fract_x
_atom_site_fract_y
_atom_site_fract_z
Ba1 Ba 0.0000 0.0000 0.0000
Mg1 Mg 0.0000 0.2642 0.5000
Mg2 Mg 0.0000 0.5000 0.0000
Mg3 Mg 0.2471 0.5000 0.5000
Mg4 Mg 0.2563 0.2563 0.0000
Cd1 Cd 0.5000 0.5000 0.0000
O1 O 0.0000 0.0000 0.5000
O2 O 0.0000 0.2795 0.0000
O3 O 0.0000 0.5000 0.5000
O4 O 0.2406 0.5000 0.0000
O5 O 0.2510 0.2510 0.5000
O6 O 0.5000 0.5000 0.5000

=====

Energetically preferred structure: arrangement Q | next structure: +1.8 kJ/mol of atoms

=====

Arrangement P

# Ca3SiBr2 PBE-GGA optimized geometry
# - Magnetization: 0.00 μB/f.u.
data_Ca3SiBr2
_cell_length_a 7.8715
_cell_length_b 4.6142
_cell_length_c 11.6761
_cell_angle_alpha 90.00
_cell_angle_beta 103.38
_cell_angle_gamma 90.00
_symmetry_space_group_name_H-M 'C 1 m 1'
_symmetry_Int_Tables_number 8
loop_
_symmetry_equiv_pos_as_xyz
'x,y,z'
'x,-y,z'
'x+1/2,y+1/2,z'
'x+1/2,-y+1/2,z'
loop_
_atom_site_label
_atom_site_type_symbol
_atom_site_fract_x
_atom_site_fract_y
_atom_site_fract_z
Ca1 Ca 0.0000 0.0000 0.0000
Ca2 Ca 0.0672 0.5000 0.5868
Ca3 Ca 0.2461 0.5000 0.2217
Si1 Si 0.3737 0.0000 0.1120
Br1 Br 0.1915 0.0000 0.4639
Br2 Br 0.4451 0.5000 0.7154

=====

Arrangement Q

# Ca3SiBr2 PBE-GGA optimized geometry
# - Magnetization: 0.83 μB/f.u.
data_Ca3SiBr2
_cell_length_a 4.0764
_cell_length_b 4.0764
_cell_length_c 12.2037
_cell_angle_alpha 90.00
_cell_angle_beta 90.00
_cell_angle_gamma 120.00
_symmetry_space_group_name_H-M 'P -6 m 2'
_symmetry_Int_Tables_number 187
_symmetry_space_group_name_Hall 'P -6 2'
loop_
_atom_site_label
_atom_site_type_symbol
_atom_site_fract_x
_atom_site_fract_y
_atom_site_fract_z
Ca1 Ca 0.0000 0.0000 0.0000
Ca2 Ca 0.0000 0.0000 0.3537
Si1 Si 0.6667 0.3333 0.5000
Br1 Br 0.3333 0.6667 0.1718

=====

Energetically preferred structure: arrangement P | next structure: +7.6 kJ/mol of atoms

=====

Arrangement P

# Ti3H2O7 PBE-GGA optimized geometry
# - Magnetization: 0.02 μB/f.u.
data_Ti3H2O7
_cell_length_a 16.7400
_cell_length_b 3.7776
_cell_length_c 9.5073
_cell_angle_alpha 90.00
_cell_angle_beta 100.28
_cell_angle_gamma 90.00
_symmetry_space_group_name_H-M 'C 1 2/m 1'
_symmetry_Int_Tables_number 12
loop_
_symmetry_equiv_pos_as_xyz
'x,y,z'
'-x,-y,-z'
'-x,y,-z'
'x,-y,z'
'x+1/2,y+1/2,z'
'-x+1/2,-y+1/2,-z'
'-x+1/2,y+1/2,-z'
'x+1/2,-y+1/2,z'
loop_
_atom_site_label
_atom_site_type_symbol
_atom_site_fract_x
_atom_site_fract_y
_atom_site_fract_z
Ti1 Ti 0.1271 0.0000 0.3397
Ti2 Ti 0.1771 0.0000 0.0070
Ti3 Ti 0.2311 0.0000 0.7113
H1 H 0.0282 0.0000 0.0948
H2 H 0.0370 0.0000 0.6942
O1 O 0.0217 0.0000 0.3448
O2 O 0.0868 0.0000 0.1059
O3 O 0.1393 0.0000 0.8204
O4 O 0.1548 0.5000 0.3245
O5 O 0.1746 0.0000 0.5368
O6 O 0.2075 0.5000 0.0399
O7 O 0.2386 0.0000 0.2476

=====

Arrangement Q

# Ti3H2O7 PBE-GGA optimized geometry
# - Magnetization: 0.00 μB/f.u.
data_Ti3H2O7
_cell_length_a 37.2670
_cell_length_b 3.8128
_cell_length_c 9.5428
_cell_angle_alpha 90.00
_cell_angle_beta 98.76
_cell_angle_gamma 90.00
_symmetry_space_group_name_H-M 'C 1 2 1'
_symmetry_Int_Tables_number 5
loop_
_symmetry_equiv_pos_as_xyz
'x,y,z'
'-x,y,-z'
'x+1/2,y+1/2,z'
'-x+1/2,y+1/2,-z'
loop_
_atom_site_label
_atom_site_type_symbol
_atom_site_fract_x
_atom_site_fract_y
_atom_site_fract_z
Ti1 Ti 0.1865 0.9998 0.3571
Ti2 Ti 0.2189 0.0000 0.0326
Ti3 Ti 0.2349 0.0019 0.7309
H1 H 0.1568 0.8215 0.0978
H2 H 0.2197 0.4970 0.4570
O1 O 0.1437 0.9978 0.3735
O2 O 0.1781 0.9569 0.1361
O3 O 0.1989 0.9993 0.8495
O4 O 0.2088 0.4990 0.3561
O5 O 0.2126 0.0002 0.5549
O6 O 0.2312 0.4954 0.0517
O7 O 0.2490 0.5005 0.7609

=====

Energetically preferred structure: arrangement P | next structure: +6.8 kJ/mol of atoms

=====

Arrangement P

# NaCaAlSi2O7 PBE-GGA optimized geometry
# - Magnetization: 0.00 μB/f.u.
data_NaCaAlSi2O7
_cell_length_a 7.7586
_cell_length_b 7.7586
_cell_length_c 12.7198
_cell_angle_alpha 90.00
_cell_angle_beta 90.00
_cell_angle_gamma 90.00
_symmetry_space_group_name_H-M 'P -4 21 m'
_symmetry_Int_Tables_number 113
loop_
_symmetry_equiv_pos_as_xyz
'x,y,z'
'y,-x,-z'
'-x,-y,z'
'-y,x,-z'
'x+1/2,-y+1/2,-z'
'y+1/2,x+1/2,z'
'-x+1/2,y+1/2,-z'
'-y+1/2,-x+1/2,z'
loop_
_atom_site_label
_atom_site_type_symbol
_atom_site_fract_x
_atom_site_fract_y
_atom_site_fract_z
Na1 Na 0.1333 0.3667 0.3125
Ca1 Ca 0.1536 0.3464 0.7883
Al1 Al 0.0000 0.0000 0.0000
Al2 Al 0.0000 0.0000 0.5000
Si1 Si 0.1355 0.6355 0.1068
Si2 Si 0.1386 0.6386 0.6074
O1 O 0.0000 0.5000 0.0487
O2 O 0.0000 0.5000 0.5527
O3 O 0.0930 0.8363 0.5764
O4 O 0.1020 0.8385 0.0749
O5 O 0.1264 0.6264 0.7362
O6 O 0.1354 0.6354 0.2347

=====

Arrangement Q

# NaCaAlSi2O7 PBE-GGA optimized geometry
# - Magnetization: 0.00 μB/f.u.
data_NaCaAlSi2O7
_cell_length_a 5.1126
_cell_length_b 7.7101
_cell_length_c 7.7234
_cell_angle_alpha 90.00
_cell_angle_beta 91.29
_cell_angle_gamma 90.00
_symmetry_space_group_name_H-M 'P 1 21 1'
_symmetry_Int_Tables_number 4
loop_
_symmetry_equiv_pos_as_xyz
'x,y,z'
'-x,y+1/2,-z'
loop_
_atom_site_label
_atom_site_type_symbol
_atom_site_fract_x
_atom_site_fract_y
_atom_site_fract_z
Na1 Na 0.0119 0.0000 0.4204
Ca1 Ca 0.0191 0.3224 0.0992
Al1 Al 0.4982 0.1624 0.7503
Si1 Si 0.4525 0.8058 0.6110
Si2 Si 0.4531 0.5210 0.8959
O1 O 0.2328 0.0231 0.0870
O2 O 0.2345 0.3115 0.3734
O3 O 0.3011 0.5802 0.0754
O4 O 0.3053 0.9866 0.6733
O5 O 0.3172 0.3330 0.8464
O6 O 0.3264 0.7530 0.4214
O7 O 0.3282 0.6600 0.7501

=====

Energetically preferred structure: arrangement Q | next structure: +13.0 kJ/mol of atoms